Entry 1:
VASP calculation (GGA+U) on crystalline Er2V10O53 at its relaxed geometry.

Output
- calculated volume (Å³ per atom) = 15.155
- total magnetic moment (μB/f.u.) = 10.00
- calculated density (Mg/m³) = 2.852
- E_tot (eV/atom) = -6.307
- ΔE_f (meV per atom) = -996

a b c (Å): 8.981 10.245 12.178
angles (deg): 112.43 105.56 92.27
Space group P-1 (No. 2)
Symmetry-distinct sites (fractional):
Er (0.079, 0.142, 0.356) [2 per cell]
V (0.281, 0.653, 0.188) [2 per cell]
V (0.301, 0.498, 0.928) [2 per cell]
V (0.369, 0.334, 0.674) [2 per cell]
V (0.401, 0.367, 0.133) [2 per cell]
V (0.473, 0.208, 0.885) [2 per cell]
O (0.024, 0.749, 0.852) [2 per cell]
O (0.065, 0.065, 0.907) [2 per cell]
O (0.075, 0.300, 0.271) [2 per cell]
O (0.080, 0.976, 0.140) [2 per cell]
O (0.081, 0.933, 0.378) [2 per cell]
O (0.088, 0.729, 0.217) [2 per cell]
O (0.099, 0.796, 0.343) [2 per cell]
O (0.120, 0.794, 0.582) [2 per cell]
O (0.149, 0.834, 0.876) [2 per cell]
O (0.154, 0.560, 0.979) [2 per cell]
O (0.161, 0.658, 0.581) [2 per cell]
O (0.214, 0.589, 0.494) [2 per cell]
O (0.232, 0.417, 0.760) [2 per cell]
O (0.237, 0.467, 0.162) [2 per cell]
O (0.258, 0.264, 0.518) [2 per cell]
O (0.310, 0.321, 0.946) [2 per cell]
O (0.340, 0.804, 0.151) [2 per cell]
O (0.352, 0.218, 0.142) [2 per cell]
O (0.360, 0.190, 0.722) [2 per cell]
O (0.413, 0.712, 0.333) [2 per cell]
O (0.415, 0.666, 0.933) [2 per cell]
O (0.421, 0.054, 0.884) [2 per cell]
O (0.447, 0.573, 0.106) [2 per cell]
O (0.461, 0.517, 0.709) [2 per cell]
O (0.468, 0.063, 0.398) [2 per cell]
O (0.484, 0.845, 0.632) [2 per cell]
O (0.500, 0.500, 0.500) [1 per cell]



Entry 2:
VASP calculation (GGA+U) on crystalline ZnNi2O4 at its relaxed geometry.

Output
- calculated volume (Å³ per atom) = 9.278
- total magnetic moment (μB/f.u.) = 2.00
- energy above the lowest structure with this stoichiometry (meV/atom) = 138.0
- calculated density (Mg/m³) = 6.310
- E_tot (eV/atom) = -4.633
- ΔE_f (meV per atom) = -1092

a b c (Å): 8.740 2.886 10.300
angles (deg): 90.00 90.00 90.00
Space group Pnma (No. 62)
Symmetry-distinct sites (fractional):
Zn (0.246, 0.250, 0.160) [4 per cell]
Ni (0.061, 0.250, 0.384) [4 per cell]
Ni (0.086, 0.250, 0.900) [4 per cell]
O (0.027, 0.750, 0.789) [4 per cell]
O (0.096, 0.250, 0.574) [4 per cell]
O (0.119, 0.750, 0.032) [4 per cell]
O (0.212, 0.750, 0.325) [4 per cell]



Entry 3:
VASP calculation (GGA+U) on crystalline Cs2TlVF6 at its relaxed geometry.

Output
- calculated volume (Å³ per atom) = 20.842
- total magnetic moment (μB/f.u.) = 2.00
- calculated density (Mg/m³) = 5.060
- E_tot (eV/atom) = -4.977
- ΔE_f (meV per atom) = -2952

a b c (Å): 9.412 9.412 9.412
angles (deg): 90.00 90.00 90.00
Space group Fm-3m (No. 225)
Symmetry-distinct sites (fractional):
Cs (0.250, 0.250, 0.250) [8 per cell]
Tl (0.000, 0.000, 0.000) [4 per cell]
V (0.000, 0.000, 0.500) [4 per cell]
F (0.000, 0.000, 0.289) [24 per cell]



Entry 4:
VASP calculation (GGA+U) on crystalline Li4Mn5NiP6O24 at its relaxed geometry.

Output
- calculated volume (Å³ per atom) = 11.847
- total magnetic moment (μB/f.u.) = 25.00
- calculated density (Mg/m³) = 3.262
- E_tot (eV/atom) = -7.042
- ΔE_f (meV per atom) = -2464

a b c (Å): 8.495 8.598 8.607
angles (deg): 62.13 63.03 63.83
Space group P1 (No. 1)
Symmetry-distinct sites (fractional):
Li (0.000, 0.000, 0.000) [1 per cell]
Li (0.096, 0.899, 0.507) [1 per cell]
Li (0.198, 0.409, 0.394) [1 per cell]
Li (0.582, 0.606, 0.813) [1 per cell]
Mn (0.354, 0.760, 0.146) [1 per cell]
Mn (0.493, 0.902, 0.303) [1 per cell]
Mn (0.703, 0.112, 0.507) [1 per cell]
Mn (0.836, 0.268, 0.655) [1 per cell]
Mn (0.998, 0.418, 0.807) [1 per cell]
Ni (0.194, 0.608, 0.007) [1 per cell]
P (0.093, 0.203, 0.208) [1 per cell]
P (0.298, 0.006, 0.694) [1 per cell]
P (0.406, 0.511, 0.602) [1 per cell]
P (0.594, 0.299, 0.115) [1 per cell]
P (0.785, 0.816, 0.906) [1 per cell]
P (0.906, 0.710, 0.403) [1 per cell]
O (0.027, 0.230, 0.057) [1 per cell]
O (0.096, 0.688, 0.242) [1 per cell]
O (0.107, 0.156, 0.723) [1 per cell]
O (0.154, 0.359, 0.180) [1 per cell]
O (0.238, 0.008, 0.236) [1 per cell]
O (0.252, 0.449, 0.621) [1 per cell]
O (0.289, 0.849, 0.888) [1 per cell]
O (0.315, 0.945, 0.545) [1 per cell]
O (0.368, 0.570, 0.762) [1 per cell]
O (0.409, 0.681, 0.413) [1 per cell]
O (0.441, 0.490, 0.097) [1 per cell]
O (0.463, 0.069, 0.642) [1 per cell]
O (0.522, 0.143, 0.159) [1 per cell]
O (0.596, 0.365, 0.578) [1 per cell]
O (0.597, 0.839, 0.062) [1 per cell]
O (0.665, 0.260, 0.268) [1 per cell]
O (0.741, 0.764, 0.344) [1 per cell]
O (0.742, 0.321, 0.919) [1 per cell]
O (0.779, 0.004, 0.737) [1 per cell]
O (0.803, 0.662, 0.850) [1 per cell]
O (0.897, 0.853, 0.468) [1 per cell]
O (0.921, 0.513, 0.554) [1 per cell]
O (0.938, 0.178, 0.407) [1 per cell]
O (0.949, 0.787, 0.958) [1 per cell]